{
  "formula": "RbSr2Nb3O10",
  "functional": "PBE",
  "state": "optimized geometry",
  "magmom_total_mub_per_atom": 0.0013,
  "spacegroup": "P4/mmm, No. 123",
  "lattice": [[-1.4132, -2.9598, 2.2652], [2.0477, -2.6408, -2.1730], [12.0634, 1.5233, 9.5163]],
  "species": ["Rb", "Sr", "Sr", "Nb", "Nb", "Nb", "O", "O", "O", "O", "O", "O", "O", "O", "O", "O"],
  "fractional_positions": [[0.5000, 0.5000, 0.5000], [0.5000, 0.5000, 0.1474], [0.5000, 0.5000, 0.8526], [0.0000, 0.0000, 0.0000], [0.0000, 0.0000, 0.2874], [0.0000, 0.0000, 0.7126], [0.0000, 0.0000, 0.5965], [0.0000, 0.0000, 0.4035], [0.5000, 0.0000, 0.7393], [0.0000, 0.5000, 0.7393], [0.5000, 0.0000, 0.2607], [0.0000, 0.5000, 0.2607], [0.0000, 0.5000, 0.0000], [0.5000, 0.0000, 0.0000], [0.0000, 0.0000, 0.1287], [0.0000, 0.0000, 0.8713]]
}

***

{
  "formula": "RbNb3Te2O12",
  "functional": "PBE",
  "state": "optimized geometry",
  "magmom_total_mub_per_atom": 0.0000,
  "spacegroup": "Pbcm, No. 57",
  "lattice": [[-0.8090, -2.2216, -3.3702], [0.0938, -12.7341, 8.3717], [-17.4804, 1.8347, 2.9866]],
  "species": ["Rb", "Rb", "Rb", "Rb", "Nb", "Nb", "Nb", "Nb", "Nb", "Nb", "Nb", "Nb", "Nb", "Nb", "Nb", "Nb", "Te", "Te", "Te", "Te", "Te", "Te", "Te", "Te", "O", "O", "O", "O", "O", "O", "O", "O", "O", "O", "O", "O", "O", "O", "O", "O", "O", "O", "O", "O", "O", "O", "O", "O", "O", "O", "O", "O", "O", "O", "O", "O", "O", "O", "O", "O", "O", "O", "O", "O", "O", "O", "O", "O", "O", "O", "O", "O"],
  "fractional_positions": [[0.2194, 0.0740, 0.7500], [0.7806, 0.9260, 0.2500], [0.2194, 0.4260, 0.2500], [0.7806, 0.5740, 0.7500], [0.2402, 0.7931, 0.7500], [0.7598, 0.2069, 0.2500], [0.2402, 0.7069, 0.2500], [0.7598, 0.2931, 0.7500], [0.7656, 0.1508, 0.5694], [0.2344, 0.8492, 0.0694], [0.7656, 0.3492, 0.4306], [0.2344, 0.6508, 0.9306], [0.2344, 0.8492, 0.4306], [0.7656, 0.1508, 0.9306], [0.2344, 0.6508, 0.5694], [0.7656, 0.3492, 0.0694], [0.6136, 0.9137, 0.5968], [0.3864, 0.0863, 0.0968], [0.6136, 0.5863, 0.4032], [0.3864, 0.4137, 0.9032], [0.3864, 0.0863, 0.4032], [0.6136, 0.9137, 0.9032], [0.3864, 0.4137, 0.5968], [0.6136, 0.5863, 0.0968], [0.2848, 0.9320, 0.5232], [0.7152, 0.0680, 0.0232], [0.2848, 0.5680, 0.4768], [0.7152, 0.4320, 0.9768], [0.7152, 0.0680, 0.4768], [0.2848, 0.9320, 0.9768], [0.7152, 0.4320, 0.5232], [0.2848, 0.5680, 0.0232], [0.6985, 0.0309, 0.6273], [0.3015, 0.9691, 0.1273], [0.6985, 0.4691, 0.3727], [0.3015, 0.5309, 0.8727], [0.3015, 0.9691, 0.3727], [0.6985, 0.0309, 0.8727], [0.3015, 0.5309, 0.6273], [0.6985, 0.4691, 0.1273], [0.2965, 0.8950, 0.6734], [0.7035, 0.1050, 0.1734], [0.2965, 0.6050, 0.3266], [0.7035, 0.3950, 0.8266], [0.7035, 0.1050, 0.3266], [0.2965, 0.8950, 0.8266], [0.7035, 0.3950, 0.6734], [0.2965, 0.6050, 0.1734], [0.2930, 0.7078, 0.6678], [0.7070, 0.2922, 0.1678], [0.2930, 0.7922, 0.3322], [0.7070, 0.2078, 0.8322], [0.7070, 0.2922, 0.3322], [0.2930, 0.7078, 0.8322], [0.7070, 0.2078, 0.6678], [0.2930, 0.7922, 0.1678], [0.7957, 0.7993, 0.7500], [0.2043, 0.2007, 0.2500], [0.7957, 0.7007, 0.2500], [0.2043, 0.2993, 0.7500], [0.7035, 0.2500, 0.5000], [0.2965, 0.7500, 0.0000], [0.2965, 0.7500, 0.5000], [0.7035, 0.2500, 0.0000], [0.2079, 0.1469, 0.5679], [0.7921, 0.8531, 0.0679], [0.2079, 0.3531, 0.4321], [0.7921, 0.6469, 0.9321], [0.7921, 0.8531, 0.4321], [0.2079, 0.1469, 0.9321], [0.7921, 0.6469, 0.5679], [0.2079, 0.3531, 0.0679]]
}

***

{
  "formula": "RbTiNbO5",
  "functional": "PBE",
  "state": "optimized geometry",
  "spacegroup": "Pnma, No. 62",
  "lattice": [[-3.5454, -0.3055, -1.4866], [-2.4702, -0.5856, 6.0116], [-2.0852, 19.2449, 1.0180]],
  "species": ["Rb", "Rb", "Rb", "Rb", "Ti", "Ti", "Ti", "Ti", "Nb", "Nb", "Nb", "Nb", "O", "O", "O", "O", "O", "O", "O", "O", "O", "O", "O", "O", "O", "O", "O", "O", "O", "O", "O", "O"],
  "fractional_positions": [[0.2500, 0.7966, 0.1939], [0.2500, 0.2966, 0.3061], [0.7500, 0.2034, 0.8061], [0.7500, 0.7034, 0.6939], [0.2500, 0.3141, 0.9678], [0.2500, 0.8141, 0.5322], [0.7500, 0.6859, 0.0322], [0.7500, 0.1859, 0.4678], [0.2500, 0.7664, 0.8941], [0.2500, 0.2664, 0.6059], [0.7500, 0.2336, 0.1059], [0.7500, 0.7336, 0.3941], [0.2500, 0.2404, 0.0770], [0.2500, 0.7404, 0.4230], [0.7500, 0.7596, 0.9230], [0.7500, 0.2596, 0.5770], [0.2500, 0.8310, 0.8032], [0.2500, 0.3310, 0.6968], [0.7500, 0.1690, 0.1968], [0.7500, 0.6690, 0.3032], [0.2500, 0.4609, 0.8848], [0.2500, 0.9609, 0.6152], [0.7500, 0.5391, 0.1152], [0.7500, 0.0391, 0.3848], [0.2500, 0.0632, 0.9300], [0.2500, 0.5632, 0.5700], [0.7500, 0.9368, 0.0700], [0.7500, 0.4368, 0.4300], [0.2500, 0.6469, 0.0096], [0.2500, 0.1469, 0.4904], [0.7500, 0.3531, 0.9904], [0.7500, 0.8531, 0.5096]]
}

***

DFT formation energy (computed, eV per atom): -3.1487; -2.4965; -3.1052